[1]
The following is a DFT calculation (PBE with a Hubbard U) of an optimized crystal structure of Te7WCl5O. Values from VASP.

Its formation energy from the elements is -11.9 kcal/mol of atoms.

Cell and atoms, written as Quantum ESPRESSO input:
```
&SYSTEM
  ibrav = 0, nat = 56, ntyp = 4
/
ATOMIC_SPECIES
Cl 35.45 Cl.upf
O 16.00 O.upf
Te 127.60 Te.upf
W 183.84 W.upf
CELL_PARAMETERS angstrom
7.7806 0.0000 0.0000
0.0000 8.3618 0.0000
0.0000 0.0000 26.8515
ATOMIC_POSITIONS angstrom
Cl 1.9451 4.3069 13.4258
Cl 5.9017 6.5431 7.1560
Cl 5.9017 1.8188 6.2698
Cl 1.9451 4.0550 0.0000
Cl 5.7498 3.7243 17.7745
Cl 1.8595 3.7243 22.5028
Cl 5.8354 4.3069 0.0000
Cl 5.7691 6.5431 19.6955
Cl 1.8788 1.8188 19.6955
Cl 5.9211 3.7243 9.0770
Cl 5.7498 4.6376 22.5028
Cl 2.0114 1.8188 7.1560
Cl 5.9211 4.6376 4.3487
Cl 2.0308 3.7243 4.3487
Cl 1.8595 4.6376 17.7745
Cl 5.8354 4.0550 13.4258
Cl 2.0114 6.5431 6.2698
Cl 5.7691 1.8188 20.5818
Cl 1.8788 6.5431 20.5818
Cl 2.0308 4.6376 9.0770
O 4.0198 4.1809 6.7129
O 7.6510 4.1809 20.1387
O 0.1295 4.1809 6.7129
O 3.7607 4.1809 20.1387
Te 0.6973 0.5053 3.7582
Te 4.2238 6.0759 15.2739
Te 4.5876 7.8565 3.7582
Te 7.4470 6.0759 11.5777
Te 0.3335 2.2859 15.2739
Te 4.5738 1.8283 2.2653
Te 7.0832 7.8565 23.0933
Te 3.8903 0.0000 13.4258
Te 0.0000 0.0000 13.4258
Te 3.8903 0.0000 0.0000
Te 7.0971 1.8283 24.5862
Te 0.6835 6.5335 2.2653
Te 3.5568 6.0759 1.8481
Te 3.2068 6.5335 24.5862
Te 0.6835 1.8283 11.1604
Te 0.3335 6.0759 25.0034
Te 3.5568 2.2859 11.5777
Te 3.1929 7.8565 17.1840
Te 3.2068 1.8283 15.6911
Te 4.2238 2.2859 25.0034
Te 0.0000 0.0000 0.0000
Te 7.0971 6.5335 15.6911
Te 7.0832 0.5053 17.1840
Te 3.1929 0.5053 23.0933
Te 0.6973 7.8565 9.6676
Te 4.5738 6.5335 11.1604
Te 7.4470 2.2859 1.8481
Te 4.5876 0.5053 9.6676
W 6.0462 4.1809 6.7129
W 5.6247 4.1809 20.1387
W 1.7344 4.1809 20.1387
W 2.1559 4.1809 6.7129
```

[2]
The following is a DFT calculation (PBE with a Hubbard U) of an optimized crystal structure of TmWClO4. Values from VASP.

The excess energy over the best structure of this formula in the dataset comes out at 0.64 kJ per mole of atoms. Its formation energy from the elements is -61.5 kcal/mol of atoms.

Cell and atoms, written as Quantum ESPRESSO input:
```
&SYSTEM
  ibrav = 0, nat = 14, ntyp = 4
/
ATOMIC_SPECIES
O 16.00 O.upf
W 183.84 W.upf
Cl 35.45 Cl.upf
Tm 168.93 Tm.upf
CELL_PARAMETERS angstrom
4.8959 3.6344 -1.5479
4.8959 -3.6344 -1.5479
-0.0135 0.0000 -6.8997
ATOMIC_POSITIONS angstrom
O 7.8215 1.4030 -6.9655
O 1.9567 -1.4030 -3.0299
O 7.8215 -1.4030 -6.9655
O 0.4455 0.0000 -4.9766
O 2.0180 0.0000 -7.2694
O 7.7603 0.0000 -2.7261
O 9.3328 0.0000 -5.0189
O 1.9567 1.4030 -3.0299
W 1.3421 0.0000 -2.0292
W 8.4362 0.0000 -7.9663
Cl 4.7849 0.0000 -3.3757
Cl 4.9933 0.0000 -6.6197
Tm 7.0691 0.0000 -4.8818
Tm 2.7091 0.0000 -5.1137
```

[3]
The following is a DFT calculation (PBE with a Hubbard U) of an optimized crystal structure of TmWClO4. Values from VASP.

The excess energy over the best structure of this formula in the dataset comes out at 0.00 kJ per mole of atoms. Its formation energy from the elements is -61.7 kcal/mol of atoms.

Cell and atoms, written as Quantum ESPRESSO input:
```
&SYSTEM
  ibrav = 0, nat = 14, ntyp = 4
/
ATOMIC_SPECIES
O 16.00 O.upf
Cl 35.45 Cl.upf
Tm 168.93 Tm.upf
W 183.84 W.upf
CELL_PARAMETERS angstrom
-5.8980 0.0007 1.3536
-1.8084 -6.0474 1.8096
0.0215 -0.0324 6.9751
ATOMIC_POSITIONS angstrom
O -3.0532 -0.7584 1.7984
O -6.2211 -2.9456 7.7583
O -2.4869 -1.5793 4.6645
O -3.3532 -2.8762 7.0589
O -1.4638 -3.1334 2.3801
O -5.1980 -4.4997 5.4739
O -4.6317 -5.3207 8.3400
O -4.3317 -3.2029 3.0795
Cl -0.0742 -0.1502 1.6157
Cl -7.6107 -5.9289 8.5227
Tm -5.9230 -4.8123 3.3900
Tm -1.7619 -1.2668 6.7483
W -4.8253 -3.9224 7.1370
W -2.8596 -2.1566 3.0014
```

[4]
The following is a DFT calculation (PBE with a Hubbard U) of an optimized crystal structure of VCl3O. Values from VASP.

Its formation energy from the elements is -28.9 kcal/mol of atoms.

Cell and atoms, written as Quantum ESPRESSO input:
```
&SYSTEM
  ibrav = 0, nat = 20, ntyp = 3
/
ATOMIC_SPECIES
V 50.94 V.upf
Cl 35.45 Cl.upf
O 16.00 O.upf
CELL_PARAMETERS angstrom
5.3905 0.0000 0.0000
0.0000 9.8237 0.0000
0.0000 0.0000 11.9854
ATOMIC_POSITIONS angstrom
V 3.4504 2.4559 5.4450
V 1.9401 7.3678 6.5404
V 4.6354 7.3678 11.4377
V 0.7552 2.4559 0.5477
Cl 1.4511 0.6734 1.5508
Cl 4.1463 4.2384 4.4419
Cl 3.9394 9.1503 10.4346
Cl 1.3569 2.4559 10.4569
Cl 4.0336 7.3678 1.5285
Cl 1.2442 9.1503 7.5435
Cl 1.2442 5.5853 7.5435
Cl 4.0522 2.4559 7.5212
Cl 1.4511 4.2384 1.5508
Cl 3.9394 5.5853 10.4346
Cl 4.1463 0.6734 4.4419
Cl 1.3383 7.3678 4.4642
O 4.5439 2.4559 0.5997
O 1.8487 2.4559 5.3930
O 0.8466 7.3678 11.3857
O 3.5418 7.3678 6.5924
```

[5]
The following is a DFT calculation (PBE with a Hubbard U) of an optimized crystal structure of WCl2O2. Values from VASP.

Its piezoelectric modulus e_max is 5.76 C/m². The excess energy over the best structure of this formula in the dataset comes out at 0.00 kJ per mole of atoms. Its formation energy from the elements is -34.4 kcal/mol of atoms.

Cell and atoms, written as Quantum ESPRESSO input:
```
&SYSTEM
  ibrav = 0, nat = 10, ntyp = 3
/
ATOMIC_SPECIES
O 16.00 O.upf
Cl 35.45 Cl.upf
W 183.84 W.upf
CELL_PARAMETERS angstrom
-2.8225 1.6813 -2.0540
-4.4434 -6.2389 0.9992
-3.0962 3.3220 6.9739
ATOMIC_POSITIONS angstrom
O -2.6763 -0.9254 -0.7474
O -4.8878 -4.0509 -0.2404
O -2.9586 1.4661 -2.0119
O -2.3819 -3.3202 0.5241
Cl -3.8532 2.9966 4.0218
Cl -4.6513 -1.6238 1.4796
Cl -2.4849 1.5285 0.9398
Cl -6.0196 -0.1558 4.5615
W -1.4329 0.6475 -0.9446
W -3.8173 -2.3750 -0.5635
```

[6]
The following is a DFT calculation (PBE with a Hubbard U) of an optimized crystal structure of WCl3O. Values from VASP.

Its formation energy from the elements is -26.5 kcal/mol of atoms.

Cell and atoms, written as Quantum ESPRESSO input:
```
&SYSTEM
  ibrav = 0, nat = 20, ntyp = 3
/
ATOMIC_SPECIES
Cl 35.45 Cl.upf
O 16.00 O.upf
W 183.84 W.upf
CELL_PARAMETERS angstrom
-11.7027 2.0608 -2.9734
-2.2542 -12.0280 0.5356
-0.8842 0.3309 3.7093
ATOMIC_POSITIONS angstrom
Cl -6.0498 -3.8393 0.8752
Cl -8.7913 -5.7971 0.3963
Cl -4.1621 -6.6344 1.5745
Cl -10.2476 -9.3779 -1.6062
Cl -7.9197 -1.0314 0.1790
Cl -10.6790 -3.0019 -0.3030
Cl -6.9214 -8.6049 1.0925
Cl -3.7092 -0.5893 -0.8316
Cl -3.1821 -10.6443 0.1910
Cl -12.1156 -6.5926 -2.2999
Cl -10.7747 0.6771 -2.6287
Cl -1.8413 -3.3746 -0.1379
O -6.0431 -6.3783 -0.8715
O -7.9138 -3.5888 -1.5663
O -1.8238 -0.8213 1.6133
O -13.0173 -8.8150 -0.3418
W -6.3913 -6.3529 1.0180
W -1.5204 -1.0858 -0.2656
W -8.4498 -3.2834 0.2535
W -12.4365 -8.8814 -2.1722
```

[7]
The following is a DFT calculation (PBE with a Hubbard U) of an optimized crystal structure of WCl4O. Values from VASP.

Its formation energy from the elements is -22.9 kcal/mol of atoms.

Cell and atoms, written as Quantum ESPRESSO input:
```
&SYSTEM
  ibrav = 0, nat = 6, ntyp = 3
/
ATOMIC_SPECIES
Cl 35.45 Cl.upf
W 183.84 W.upf
O 16.00 O.upf
CELL_PARAMETERS angstrom
1.8323 0.6619 -3.3857
-1.6905 6.2159 -1.9530
5.9728 2.7123 1.5093
ATOMIC_POSITIONS angstrom
Cl 3.3407 7.1645 -1.6547
Cl 4.3839 4.1489 0.5736
Cl 3.0638 2.5304 -2.7105
Cl 0.1884 4.8841 -1.5532
W 0.0428 0.0155 -0.0791
O 1.0277 0.3713 -1.8989
```

[8]
The following is a DFT calculation (PBE with a Hubbard U) of an optimized crystal structure of WCl2O2. Values from VASP.

The excess energy over the best structure of this formula in the dataset comes out at 0.20 kJ per mole of atoms. Its formation energy from the elements is -34.4 kcal/mol of atoms.

Cell and atoms, written as Quantum ESPRESSO input:
```
&SYSTEM
  ibrav = 0, nat = 5, ntyp = 3
/
ATOMIC_SPECIES
W 183.84 W.upf
Cl 35.45 Cl.upf
O 16.00 O.upf
CELL_PARAMETERS angstrom
-2.2501 2.4227 -1.9959
3.1321 1.4771 -1.7380
-0.7021 -5.6515 -6.0684
ATOMIC_POSITIONS angstrom
W -0.5798 3.0489 -2.7724
Cl -1.0059 -1.1118 -7.0765
Cl -0.6957 1.3858 -4.3948
O 0.5920 1.7873 -1.7330
O -2.1001 2.2612 -1.8629
```

> Which of these has the lowest formation energy from the elements?

number 3

Copy entry 5 word for word.
The following is a DFT calculation (PBE with a Hubbard U) of an optimized crystal structure of WCl2O2. Values from VASP.

Its piezoelectric modulus e_max is 5.76 C/m². The excess energy over the best structure of this formula in the dataset comes out at 0.00 kJ per mole of atoms. Its formation energy from the elements is -34.4 kcal/mol of atoms.

Cell and atoms, written as Quantum ESPRESSO input:
```
&SYSTEM
  ibrav = 0, nat = 10, ntyp = 3
/
ATOMIC_SPECIES
O 16.00 O.upf
Cl 35.45 Cl.upf
W 183.84 W.upf
CELL_PARAMETERS angstrom
-2.8225 1.6813 -2.0540
-4.4434 -6.2389 0.9992
-3.0962 3.3220 6.9739
ATOMIC_POSITIONS angstrom
O -2.6763 -0.9254 -0.7474
O -4.8878 -4.0509 -0.2404
O -2.9586 1.4661 -2.0119
O -2.3819 -3.3202 0.5241
Cl -3.8532 2.9966 4.0218
Cl -4.6513 -1.6238 1.4796
Cl -2.4849 1.5285 0.9398
Cl -6.0196 -0.1558 4.5615
W -1.4329 0.6475 -0.9446
W -3.8173 -2.3750 -0.5635
```